VASP calculation (PBE-GGA) on a relaxed structure of Na14Ti4Si11Sn4SO48.

Cell lengths 9.0351, 15.6379, 22.2022 Å; angles 89.86, 89.92, 89.98 degrees
Space group P1 (No. 1)
Asymmetric unit:
Na1 0.0000 0.0000 0.0000 (multiplicity 1)
Na2 0.0003 0.3311 0.6663 (multiplicity 1)
Na3 0.0012 0.6996 0.6669 (multiplicity 1)
Na4 0.0032 0.3662 0.9991 (multiplicity 1)
Na5 0.1271 0.1974 0.1657 (multiplicity 1)
Na6 0.1292 0.1680 0.8330 (multiplicity 1)
Na7 0.1320 0.5345 0.8330 (multiplicity 1)
Na8 0.1336 0.4973 0.4995 (multiplicity 1)
Na9 0.1353 0.8349 0.1663 (multiplicity 1)
Na10 0.1349 0.8678 0.4989 (multiplicity 1)
Na11 0.1801 0.1820 0.4993 (multiplicity 1)
Na12 0.1830 0.5141 0.1658 (multiplicity 1)
Na13 0.3040 0.0127 0.4150 (multiplicity 1)
Na14 0.3113 0.6888 0.7505 (multiplicity 1)
Na15 0.3143 0.3509 0.5846 (multiplicity 1)
Na16 0.3137 0.3517 0.0808 (multiplicity 1)
Na17 0.3256 0.0125 0.9162 (multiplicity 1)
Na18 0.3274 0.6867 0.2501 (multiplicity 1)
Na19 0.4419 0.1825 0.9992 (multiplicity 1)
Na20 0.4460 0.5138 0.6670 (multiplicity 1)
Na21 0.4946 0.8691 0.9991 (multiplicity 1)
Na22 0.4960 0.8359 0.6662 (multiplicity 1)
Na23 0.4966 0.4969 0.9978 (multiplicity 1)
Na24 0.4976 0.1678 0.3326 (multiplicity 1)
Na25 0.5001 0.1995 0.6664 (multiplicity 1)
Na26 0.6290 0.6989 0.1668 (multiplicity 1)
Na27 0.6313 0.6652 0.8328 (multiplicity 1)
Na28 0.6329 0.9992 0.4996 (multiplicity 1)
Na29 0.6360 0.3317 0.1656 (multiplicity 1)
Na30 0.6370 0.3665 0.4989 (multiplicity 1)
Na31 0.6788 0.6829 0.4983 (multiplicity 1)
Na32 0.6835 0.3479 0.8319 (multiplicity 1)
Na33 0.6855 0.0177 0.1650 (multiplicity 1)
Na34 0.8046 0.5120 0.4149 (multiplicity 1)
Na35 0.8081 0.1805 0.7493 (multiplicity 1)
Na36 0.8151 0.8523 0.5825 (multiplicity 1)
Na37 0.8164 0.5170 0.9163 (multiplicity 1)
Na38 0.8165 0.8514 0.0826 (multiplicity 1)
Na39 0.8271 0.1868 0.2489 (multiplicity 1)
Na40 0.9491 0.0173 0.6649 (multiplicity 1)
Na41 0.9534 0.6837 0.9987 (multiplicity 1)
Na42 0.9976 0.6676 0.3327 (multiplicity 1)
Ti1 0.3132 0.0160 0.0638 (multiplicity 1)
Ti2 0.3146 0.3483 0.9343 (multiplicity 1)
Ti3 0.3168 0.3478 0.7311 (multiplicity 1)
Ti4 0.3201 0.3401 0.2272 (multiplicity 1)
Ti5 0.3269 0.3427 0.4380 (multiplicity 1)
Ti6 0.8061 0.8459 0.9371 (multiplicity 1)
Ti7 0.8073 0.1861 0.8995 (multiplicity 1)
Ti8 0.8108 0.8437 0.7278 (multiplicity 1)
Ti9 0.8166 0.1825 0.1009 (multiplicity 1)
Ti10 0.8190 0.1829 0.6014 (multiplicity 1)
Ti11 0.8195 0.8427 0.2279 (multiplicity 1)
Ti12 0.8249 0.8445 0.4370 (multiplicity 1)
Si1 0.0216 0.0174 0.1648 (multiplicity 1)
Si2 0.0264 0.3474 0.8330 (multiplicity 1)
Si3 0.0256 0.6820 0.4974 (multiplicity 1)
Si4 0.1037 0.1825 0.9980 (multiplicity 1)
Si5 0.1067 0.8512 0.3325 (multiplicity 1)
Si6 0.1107 0.5155 0.6670 (multiplicity 1)
Si7 0.1685 0.2044 0.3328 (multiplicity 1)
Si8 0.1681 0.8318 0.9989 (multiplicity 1)
Si9 0.1679 0.8708 0.6672 (multiplicity 1)
Si10 0.1686 0.1628 0.6677 (multiplicity 1)
Si11 0.1703 0.5360 0.9979 (multiplicity 1)
Si12 0.4587 0.4933 0.8328 (multiplicity 1)
Si13 0.4599 0.5364 0.4980 (multiplicity 1)
Si14 0.4614 0.8731 0.1661 (multiplicity 1)
Si15 0.4618 0.2031 0.8334 (multiplicity 1)
Si16 0.4631 0.1587 0.1661 (multiplicity 1)
Si17 0.4641 0.8315 0.4991 (multiplicity 1)
Si18 0.5190 0.5158 0.1656 (multiplicity 1)
Si19 0.5252 0.8530 0.8328 (multiplicity 1)
Si20 0.5300 0.1815 0.4985 (multiplicity 1)
Si21 0.6065 0.3503 0.3324 (multiplicity 1)
Si22 0.6072 0.6825 0.9983 (multiplicity 1)
Si23 0.6131 0.0177 0.6654 (multiplicity 1)
Si24 0.6680 0.3275 0.0002 (multiplicity 1)
Si25 0.6679 0.3681 0.6665 (multiplicity 1)
Si26 0.6679 0.6626 0.6664 (multiplicity 1)
Si27 0.6689 0.7048 0.3324 (multiplicity 1)
Si28 0.6699 0.0389 0.9994 (multiplicity 1)
Si29 0.9597 0.0383 0.4986 (multiplicity 1)
Si30 0.9615 0.7073 0.8325 (multiplicity 1)
Si31 0.9618 0.6607 0.1676 (multiplicity 1)
Si32 0.9631 0.3294 0.5000 (multiplicity 1)
Si33 0.9625 0.3691 0.1668 (multiplicity 1)
Sn1 0.3031 0.0164 0.2689 (multiplicity 1)
Sn2 0.3129 0.6843 0.1006 (multiplicity 1)
Sn3 0.3143 0.6873 0.8942 (multiplicity 1)
Sn4 0.3162 0.0164 0.5650 (multiplicity 1)
Sn5 0.3170 0.6834 0.6008 (multiplicity 1)
Sn6 0.3228 0.6887 0.3952 (multiplicity 1)
Sn7 0.3265 0.0163 0.7689 (multiplicity 1)
Sn8 0.8039 0.5147 0.2695 (multiplicity 1)
Sn9 0.8153 0.5148 0.0642 (multiplicity 1)
Sn10 0.8154 0.5166 0.5643 (multiplicity 1)
Sn11 0.8159 0.5155 0.7698 (multiplicity 1)
Sn12 0.8229 0.1888 0.3955 (multiplicity 1)
S1 0.1723 0.4927 0.3326 (multiplicity 1)
S2 0.6722 0.9932 0.3323 (multiplicity 1)
S3 0.9582 0.9943 0.8328 (multiplicity 1)
O1 0.0070 0.5039 0.3311 (multiplicity 1)
O2 0.0088 0.5378 0.7261 (multiplicity 1)
O3 0.0106 0.4956 0.6073 (multiplicity 1)
O4 0.1215 0.0458 0.2222 (multiplicity 1)
O5 0.1221 0.7053 0.5573 (multiplicity 1)
O6 0.1232 0.0046 0.8314 (multiplicity 1)
O7 0.1262 0.6616 0.4383 (multiplicity 1)
O8 0.1309 0.9984 0.1067 (multiplicity 1)
O9 0.1329 0.3336 0.7741 (multiplicity 1)
O10 0.1339 0.3624 0.8918 (multiplicity 1)
O11 0.1400 0.0275 0.5039 (multiplicity 1)
O12 0.1396 0.6942 0.8337 (multiplicity 1)
O13 0.1408 0.6729 0.1632 (multiplicity 1)
O14 0.1434 0.3381 0.4927 (multiplicity 1)
O15 0.1429 0.3597 0.1749 (multiplicity 1)
O16 0.1766 0.7709 0.0596 (multiplicity 1)
O17 0.1816 0.9289 0.6057 (multiplicity 1)
O18 0.1843 0.1000 0.7266 (multiplicity 1)
O19 0.1889 0.5985 0.9394 (multiplicity 1)
O20 0.1968 0.7591 0.3337 (multiplicity 1)
O21 0.2052 0.4444 0.3879 (multiplicity 1)
O22 0.2081 0.0973 0.0046 (multiplicity 1)
O23 0.2080 0.2681 0.9935 (multiplicity 1)
O24 0.2107 0.2622 0.2728 (multiplicity 1)
O25 0.2112 0.9355 0.3312 (multiplicity 1)
O26 0.2126 0.6020 0.6622 (multiplicity 1)
O27 0.2141 0.4302 0.6729 (multiplicity 1)
O28 0.2285 0.4522 0.2775 (multiplicity 1)
O29 0.2378 0.5812 0.3341 (multiplicity 1)
O30 0.2410 0.2541 0.3917 (multiplicity 1)
O31 0.2423 0.7754 0.6621 (multiplicity 1)
O32 0.2447 0.2575 0.6738 (multiplicity 1)
O33 0.2448 0.9262 0.0063 (multiplicity 1)
O34 0.2459 0.4410 0.9925 (multiplicity 1)
O35 0.2495 0.5753 0.0581 (multiplicity 1)
O36 0.2529 0.1245 0.6080 (multiplicity 1)
O37 0.2580 0.9133 0.7226 (multiplicity 1)
O38 0.2614 0.1133 0.3313 (multiplicity 1)
O39 0.2615 0.7905 0.9438 (multiplicity 1)
O40 0.3703 0.1125 0.8308 (multiplicity 1)
O41 0.3701 0.7918 0.4438 (multiplicity 1)
O42 0.3745 0.9134 0.2234 (multiplicity 1)
O43 0.3795 0.1145 0.1084 (multiplicity 1)
O44 0.3800 0.5728 0.5595 (multiplicity 1)
O45 0.3821 0.5880 0.8349 (multiplicity 1)
O46 0.3833 0.4417 0.4901 (multiplicity 1)
O47 0.3851 0.2548 0.1709 (multiplicity 1)
O48 0.3862 0.4468 0.7737 (multiplicity 1)
O49 0.3865 0.2511 0.8922 (multiplicity 1)
O50 0.3882 0.7772 0.1611 (multiplicity 1)
O51 0.3886 0.9263 0.5036 (multiplicity 1)
O52 0.4139 0.4313 0.1749 (multiplicity 1)
O53 0.4148 0.6014 0.1607 (multiplicity 1)
O54 0.4203 0.0989 0.5038 (multiplicity 1)
O55 0.4207 0.9374 0.8316 (multiplicity 1)
O56 0.4244 0.2683 0.4938 (multiplicity 1)
O57 0.4274 0.4330 0.8922 (multiplicity 1)
O58 0.4318 0.2642 0.7740 (multiplicity 1)
O59 0.4323 0.9336 0.1061 (multiplicity 1)
O60 0.4354 0.7619 0.8340 (multiplicity 1)
O61 0.4407 0.6027 0.4424 (multiplicity 1)
O62 0.4462 0.1003 0.2269 (multiplicity 1)
O63 0.4525 0.7712 0.5599 (multiplicity 1)
O64 0.4881 0.3582 0.6728 (multiplicity 1)
O65 0.4887 0.3354 0.9948 (multiplicity 1)
O66 0.4890 0.6730 0.6626 (multiplicity 1)
O67 0.4899 0.0302 0.0044 (multiplicity 1)
O68 0.4898 0.6951 0.3332 (multiplicity 1)
O69 0.4960 0.3389 0.2736 (multiplicity 1)
O70 0.4987 0.3586 0.3925 (multiplicity 1)
O71 0.5074 0.0036 0.3309 (multiplicity 1)
O72 0.5071 0.0455 0.7211 (multiplicity 1)
O73 0.5079 0.6619 0.9394 (multiplicity 1)
O74 0.5101 0.7058 0.0581 (multiplicity 1)
O75 0.5151 0.9914 0.6060 (multiplicity 1)
O76 0.6156 0.4916 0.1049 (multiplicity 1)
O77 0.6252 0.1613 0.4376 (multiplicity 1)
O78 0.6255 0.5433 0.2210 (multiplicity 1)
O79 0.6326 0.8617 0.8929 (multiplicity 1)
O80 0.6362 0.8419 0.7740 (multiplicity 1)
O81 0.6368 0.1994 0.5564 (multiplicity 1)
O82 0.6403 0.5006 0.8306 (multiplicity 1)
O83 0.6404 0.5261 0.5029 (multiplicity 1)
O84 0.6410 0.1720 0.1587 (multiplicity 1)
O85 0.6425 0.8648 0.1722 (multiplicity 1)
O86 0.6426 0.1972 0.8393 (multiplicity 1)
O87 0.6433 0.8417 0.4898 (multiplicity 1)
O88 0.6834 0.4311 0.6076 (multiplicity 1)
O89 0.6879 0.6021 0.7256 (multiplicity 1)
O90 0.6975 0.2587 0.3336 (multiplicity 1)
O91 0.7006 0.2672 0.0588 (multiplicity 1)
O92 0.7034 0.1042 0.9427 (multiplicity 1)
O93 0.7059 0.9444 0.3875 (multiplicity 1)
O94 0.7095 0.7634 0.2723 (multiplicity 1)
O95 0.7107 0.4351 0.3318 (multiplicity 1)
O96 0.7131 0.5978 0.0030 (multiplicity 1)
O97 0.7143 0.7685 0.9928 (multiplicity 1)
O98 0.7182 0.1020 0.6580 (multiplicity 1)
O99 0.7190 0.9333 0.6749 (multiplicity 1)
O100 0.7290 0.9522 0.2772 (multiplicity 1)
O101 0.7381 0.0811 0.3337 (multiplicity 1)
O102 0.7410 0.7549 0.3910 (multiplicity 1)
O103 0.7430 0.7586 0.6722 (multiplicity 1)
O104 0.7443 0.2739 0.6593 (multiplicity 1)
O105 0.7474 0.4216 0.0019 (multiplicity 1)
O106 0.7482 0.0824 0.0586 (multiplicity 1)
O107 0.7476 0.2830 0.9407 (multiplicity 1)
O108 0.7476 0.9445 0.9921 (multiplicity 1)
O109 0.7510 0.6259 0.6066 (multiplicity 1)
O110 0.7523 0.4076 0.7257 (multiplicity 1)
O111 0.7611 0.6134 0.3310 (multiplicity 1)
O112 0.8713 0.2931 0.4427 (multiplicity 1)
O113 0.8721 0.4118 0.2225 (multiplicity 1)
O114 0.8787 0.6128 0.8313 (multiplicity 1)
O115 0.8791 0.6239 0.1077 (multiplicity 1)
O116 0.8818 0.9435 0.4926 (multiplicity 1)
O117 0.8834 0.0830 0.5582 (multiplicity 1)
O118 0.8860 0.7571 0.1732 (multiplicity 1)
O119 0.8885 0.7557 0.8914 (multiplicity 1)
O120 0.8887 0.2740 0.1596 (multiplicity 1)
O121 0.8900 0.4250 0.5049 (multiplicity 1)
O122 0.8921 0.0815 0.8361 (multiplicity 1)
O123 0.9020 0.9537 0.7776 (multiplicity 1)
O124 0.9145 0.1009 0.1568 (multiplicity 1)
O125 0.9185 0.7680 0.4921 (multiplicity 1)
O126 0.9185 0.5982 0.5022 (multiplicity 1)
O127 0.9186 0.9315 0.1723 (multiplicity 1)
O128 0.9206 0.7638 0.7724 (multiplicity 1)
O129 0.9223 0.2616 0.8377 (multiplicity 1)
O130 0.9245 0.4347 0.8312 (multiplicity 1)
O131 0.9258 0.9438 0.8877 (multiplicity 1)
O132 0.9364 0.2672 0.5590 (multiplicity 1)
O133 0.9414 0.1015 0.4411 (multiplicity 1)
O134 0.9427 0.5998 0.2267 (multiplicity 1)
O135 0.9510 0.4295 0.1060 (multiplicity 1)
O136 0.9877 0.8617 0.6749 (multiplicity 1)
O137 0.9890 0.1727 0.6602 (multiplicity 1)
O138 0.9893 0.5273 0.0026 (multiplicity 1)
O139 0.9889 0.8438 0.9898 (multiplicity 1)
O140 0.9896 0.1949 0.3333 (multiplicity 1)
O141 0.9948 0.8405 0.2738 (multiplicity 1)
O142 0.9962 0.1668 0.9391 (multiplicity 1)
O143 0.9960 0.1988 0.0569 (multiplicity 1)
O144 0.9993 0.8599 0.3926 (multiplicity 1)

## Properties
Mass density ... 3.330 g cm⁻³
M_tot ... 0.00 μB per atom
Total DFT energy (no corrections) ... -6.85 eV per atom